A plane-wave DFT calculation with PBE was carried out for crystalline TiFeN2 at its relaxed geometry.

a b c (Å): 2.9454 2.9454 9.3151
angles (deg): 90.00 90.00 120.05
Last column: nearest neighbours and their distance in Å.
Atoms (fractional coordinates):
Ti: 0.1689 0.8311 0.7500  6 N 2.12-2.14
Ti: 0.8311 0.1689 0.2500  6 N 2.12-2.14
Fe: 0.5000 0.5000 0.0000  6 N 2.00
Fe: 0.5000 0.5000 0.5000  6 N 2.00
N: 0.1663 0.8337 0.1126  3 Fe 2.00, 3 Ti 2.12-2.14
N: 0.1663 0.8337 0.3874  3 Fe 2.00, 3 Ti 2.12-2.14
N: 0.8337 0.1663 0.6126  3 Fe 2.00, 3 Ti 2.12-2.14
N: 0.8337 0.1663 0.8874  3 Fe 2.00, 3 Ti 2.12-2.14

mass density = 6.25 g cm⁻³
crystal system = orthorhombic
ΔE_f = -305.0 kJ/mol of formula units
total DFT energy (no corrections) = -8.869 eV/atom
M_tot = 0.01 μB per atom



A plane-wave DFT calculation with PBE was carried out for crystalline TiFe4N4 at its relaxed geometry.

a b c (Å): 5.0710 5.2416 7.4786
angles (deg): 80.47 74.78 65.07
Last column: nearest neighbours and their distance in Å.
Atoms (fractional coordinates):
Ti: 0.0707 0.2870 0.2130  4 N 1.97-2.02
Ti: 0.9293 0.7130 0.7870  4 N 1.97-2.02
Fe: 0.0875 0.7778 0.3874  4 N 1.95-2.18
Fe: 0.2772 0.7398 0.0270  3 N 1.89-1.99
Fe: 0.3532 0.1832 0.7827  4 N 1.83-2.04
Fe: 0.4384 0.7659 0.5910  5 N 1.92-2.05
Fe: 0.5616 0.2341 0.4090  5 N 1.92-2.05
Fe: 0.6468 0.8168 0.2173  4 N 1.83-2.04
Fe: 0.7228 0.2602 0.9730  3 N 1.89-1.99
Fe: 0.9125 0.2222 0.6126  4 N 1.95-2.18
N: 0.1183 0.9726 0.8102  4 Fe 1.89-2.05, 1 Ti 2.02
N: 0.2492 0.5033 0.5827  4 Fe 1.95-2.04, 1 Ti 1.98
N: 0.3012 0.0346 0.3933  4 Fe 1.92-2.06, 1 Ti 1.97
N: 0.3144 0.3820 0.9746  3 Fe 1.83-1.90, 1 Ti 2.01
N: 0.6856 0.6180 0.0254  3 Fe 1.83-1.90, 1 Ti 2.01
N: 0.6988 0.9654 0.6067  4 Fe 1.92-2.06, 1 Ti 1.97
N: 0.7508 0.4967 0.4173  4 Fe 1.95-2.04, 1 Ti 1.98
N: 0.8817 0.0274 0.1898  4 Fe 1.89-2.05, 1 Ti 2.02

mass density = 6.26 g cm⁻³
crystal system = triclinic
ΔE_f = -322.1 kJ/mol of formula units
total DFT energy (no corrections) = -8.557 eV/atom
M_tot = 0.41 μB per atom



> total DFT energy (no corrections) of number 2 (TiFe4N4)?

-8.557 eV/atom



> Which value of M_tot does entry 1 give?

0.01 μB per atom